# SrCa2Lu10O18 | the Materials Project | PBE | optimized geometry
# - MP2020-corrected energy: -520.90 eV/cell
# - VASP energy: -8.00 eV/atom
# - ΔH_f (0 K): -3886.4 meV per atom
# - Symmetry: P1, No. 1
data_SrCa2Lu10O18
_symmetry_space_group_name_H-M 'P 1'
_symmetry_Int_Tables_number 1
_symmetry_space_group_name_Hall 'P 1'
_cell_length_a 3.306
_cell_length_b 17.428
_cell_length_c 17.430
_cell_angle_alpha 60.05
_cell_angle_beta 89.92
_cell_angle_gamma 89.94
loop_
_atom_site_label
_atom_site_fract_x
_atom_site_fract_y
_atom_site_fract_z
_atom_site_occupancy
O1 0.751 0.256 0.106 1
O2 0.747 0.541 0.640 1
Lu1 0.752 0.768 0.117 1
O3 0.750 0.978 0.584 1
Lu2 0.242 0.551 0.896 1
Lu3 0.242 0.553 0.548 1
O4 0.751 0.847 0.973 1
O5 0.257 0.809 0.694 1
Lu4 0.251 0.328 0.998 1
O6 0.258 0.497 0.809 1
Lu5 0.751 0.116 0.116 1
Lu6 0.758 0.784 0.435 1
Lu7 0.744 0.448 0.451 1
Lu8 0.756 0.780 0.784 1
O7 0.752 0.315 0.913 1
O8 0.750 0.438 0.977 1
Lu9 0.758 0.436 0.779 1
O9 0.754 0.635 0.250 1
O10 0.751 0.975 0.181 1
O11 0.247 0.550 0.023 1
O12 0.752 0.106 0.639 1
O13 0.752 0.913 0.771 1
O14 0.251 0.025 0.807 1
O15 0.254 0.359 0.755 1
Lu10 0.259 0.221 0.218 1
Lu11 0.252 0.885 0.231 1
O16 0.249 0.456 0.363 1
O17 0.251 0.096 0.218 1
Ca1 0.752 0.670 0.002 1
O18 0.253 0.886 0.364 1
Lu12 0.251 0.882 0.888 1
O19 0.251 0.169 0.025 1
O20 0.746 0.820 0.544 1
O21 0.758 0.494 0.199 1
Ca2 0.751 0.002 0.327 1
O22 0.748 0.577 0.450 1
O23 0.745 0.638 0.820 1
Lu13 0.742 0.450 0.102 1
Lu14 0.241 0.897 0.552 1
Sr1 0.966 0.339 0.331 1
O24 0.758 0.198 0.305 1
Sr2 0.464 0.667 0.660 1
O25 0.751 0.178 0.848 1
Lu15 0.744 0.103 0.447 1
Lu16 0.251 0.230 0.882 1
O26 0.752 0.779 0.313 1
Ca3 0.751 0.327 0.669 1
O27 0.244 0.361 0.178 1
O28 0.248 0.025 0.426 1
O29 0.253 0.755 0.884 1
O30 0.251 0.817 0.156 1
Lu17 0.751 0.115 0.768 1
Lu18 0.251 0.997 0.675 1
Lu19 0.260 0.217 0.562 1
O31 0.246 0.179 0.460 1
Ca4 0.251 0.673 0.328 1
O32 0.257 0.695 0.508 1
O33 0.759 0.304 0.499 1
O34 0.249 0.422 0.552 1
Lu20 0.259 0.564 0.220 1
O35 0.252 0.217 0.688 1
O36 0.252 0.687 0.091 1